1.
{
  "formula": "La3SmCr4O12",
  "functional": "PBE+U",
  "state": "optimized geometry",
  "magnetic_moment_mub_per_cell": 12.012,
  "sg": "Pm, No. 6",
  "dft_energy_ev_per_atom": -8.25,
  "lattice_angstrom": [[5.544, 0.000, 0.000], [0.000, 7.859, 0.000], [-0.010, 0.000, 5.589]],
  "species": ["La", "La", "La", "Sm", "Cr", "Cr", "Cr", "Cr", "O", "O", "O", "O", "O", "O", "O", "O", "O", "O", "O", "O"],
  "fractional_positions": [[0.000, 0.000, 0.000], [0.015, 0.500, 0.072], [0.515, 0.000, 0.503], [0.497, 0.500, 0.584], [0.008, 0.252, 0.535], [0.008, 0.748, 0.535], [0.509, 0.252, 0.037], [0.509, 0.748, 0.037], [0.088, 0.000, 0.552], [0.223, 0.297, 0.821], [0.223, 0.703, 0.821], [0.302, 0.299, 0.330], [0.302, 0.701, 0.330], [0.428, 0.000, 0.054], [0.589, 0.500, 0.008], [0.718, 0.210, 0.746], [0.718, 0.790, 0.746], [0.800, 0.208, 0.245], [0.800, 0.792, 0.245], [0.914, 0.500, 0.519]]
}

=====

2.
{
  "formula": "Sr3MgV2O7",
  "functional": "PBE+U",
  "state": "optimized geometry",
  "magnetic_moment_mub_per_cell": 3.996,
  "sg": "Immm, No. 71",
  "e_above_lowest_polymorph_ev_per_atom": 0.355,
  "dft_energy_ev_per_atom": -6.41,
  "lattice_angstrom": [[-1.941, 2.450, 10.075], [1.941, -2.450, 10.075], [1.941, 2.450, -10.075]],
  "species": ["Sr", "Sr", "Sr", "Mg", "V", "V", "O", "O", "O", "O", "O", "O", "O"],
  "fractional_positions": [[0.000, 0.000, 0.000], [0.180, 0.180, 0.000], [0.820, 0.820, 0.000], [0.500, 0.000, 0.500], [0.391, 0.391, 0.000], [0.609, 0.609, 0.000], [0.095, 0.595, 0.500], [0.299, 0.299, 0.000], [0.406, 0.906, 0.500], [0.500, 0.500, 0.000], [0.594, 0.094, 0.500], [0.701, 0.701, 0.000], [0.905, 0.405, 0.500]]
}

=====

3.
{
  "formula": "LiFeBO3",
  "functional": "PBE+U",
  "state": "optimized geometry",
  "magnetic_moment_mub_per_cell": 0.000,
  "sg": "P1, No. 1",
  "e_above_lowest_polymorph_ev_per_atom": 0.006,
  "dft_energy_ev_per_atom": -6.92,
  "lattice_angstrom": [[6.291, 0.000, 0.000], [0.002, 8.207, 0.000], [3.138, 4.100, 7.103]],
  "species": ["Li", "Li", "Li", "Li", "Li", "Li", "Fe", "Fe", "Fe", "Fe", "Fe", "Fe", "B", "B", "B", "B", "B", "B", "O", "O", "O", "O", "O", "O", "O", "O", "O", "O", "O", "O", "O", "O", "O", "O", "O", "O"],
  "fractional_positions": [[0.000, 0.000, 0.000], [0.131, 0.582, 0.734], [0.343, 0.267, 0.315], [0.500, 0.000, 0.000], [0.636, 0.581, 0.734], [0.842, 0.267, 0.315], [0.061, 0.912, 0.378], [0.238, 0.645, 0.023], [0.428, 0.291, 0.645], [0.561, 0.913, 0.378], [0.734, 0.651, 0.031], [0.928, 0.290, 0.646], [0.160, 0.949, 0.683], [0.242, 0.283, 0.016], [0.324, 0.615, 0.350], [0.659, 0.949, 0.683], [0.742, 0.285, 0.016], [0.825, 0.616, 0.350], [0.063, 0.842, 0.878], [0.144, 0.197, 0.211], [0.203, 0.144, 0.595], [0.212, 0.861, 0.575], [0.228, 0.500, 0.545], [0.285, 0.173, 0.930], [0.297, 0.478, 0.907], [0.365, 0.810, 0.270], [0.382, 0.536, 0.234], [0.561, 0.842, 0.878], [0.644, 0.196, 0.212], [0.702, 0.144, 0.595], [0.713, 0.861, 0.576], [0.729, 0.500, 0.545], [0.785, 0.174, 0.930], [0.797, 0.479, 0.907], [0.865, 0.810, 0.270], [0.882, 0.536, 0.234]]
}

=====

4.
{
  "formula": "Ba2CoMoO6",
  "functional": "PBE+U",
  "state": "optimized geometry",
  "magnetic_moment_mub_per_cell": 0.011,
  "e_above_lowest_polymorph_ev_per_atom": 0.000,
  "dft_energy_ev_per_atom": -6.72,
  "lattice_angstrom": [[0.541, 2.968, -4.956], [3.772, -4.224, 1.276], [-2.883, -8.127, -5.178]],
  "species": ["Ba", "Ba", "Ba", "Ba", "Co", "Co", "Mo", "Mo", "O", "O", "O", "O", "O", "O", "O", "O", "O", "O", "O", "O"],
  "fractional_positions": [[0.625, 0.250, 0.125], [0.125, 0.250, 0.625], [0.875, 0.750, 0.375], [0.375, 0.750, 0.875], [0.500, 0.000, 0.500], [0.000, 0.000, 0.000], [0.750, 0.500, 0.750], [0.250, 0.500, 0.250], [0.130, 0.261, 0.131], [0.631, 0.262, 0.631], [0.369, 0.261, 0.369], [0.869, 0.261, 0.870], [0.608, 0.739, 0.131], [0.108, 0.739, 0.631], [0.369, 0.738, 0.369], [0.870, 0.739, 0.869], [0.131, 0.739, 0.130], [0.631, 0.739, 0.631], [0.892, 0.261, 0.369], [0.392, 0.261, 0.869]]
}

=====

5.
{
  "formula": "LiNi2O4",
  "functional": "PBE+U",
  "state": "optimized geometry",
  "magnetic_moment_mub_per_cell": 0.000,
  "e_above_lowest_polymorph_ev_per_atom": 0.034,
  "dft_energy_ev_per_atom": -4.82,
  "lattice_angstrom": [[0.048, -5.584, 0.027], [-1.754, 2.785, 4.854], [-4.984, -2.750, 0.021]],
  "species": ["Li", "Li", "Ni", "Ni", "Ni", "Ni", "O", "O", "O", "O", "O", "O", "O", "O"],
  "fractional_positions": [[0.500, 0.500, 0.000], [0.500, 0.500, 0.500], [0.500, 0.000, 0.000], [0.500, 0.000, 0.500], [0.000, 0.000, 0.500], [0.000, 0.000, 0.000], [0.021, 0.800, 0.747], [0.021, 0.800, 0.247], [0.979, 0.200, 0.253], [0.979, 0.200, 0.753], [0.542, 0.786, 0.213], [0.542, 0.786, 0.713], [0.458, 0.214, 0.787], [0.458, 0.214, 0.287]]
}

=====

6.
{
  "formula": "Rb6U5V2O23",
  "functional": "PBE+U",
  "state": "optimized geometry",
  "magnetic_moment_mub_per_cell": 0.002,
  "sg": "P2_1/c, No. 14",
  "dft_energy_ev_per_atom": -7.98,
  "lattice_angstrom": [[7.241, 0.000, 0.000], [0.000, 14.556, 0.000], [-7.113, 0.000, 25.237]],
  "species": ["Rb", "Rb", "Rb", "Rb", "Rb", "Rb", "Rb", "Rb", "Rb", "Rb", "Rb", "Rb", "Rb", "Rb", "Rb", "Rb", "Rb", "Rb", "Rb", "Rb", "Rb", "Rb", "Rb", "Rb", "U", "U", "U", "U", "U", "U", "U", "U", "U", "U", "U", "U", "U", "U", "U", "U", "U", "U", "U", "U", "V", "V", "V", "V", "V", "V", "V", "V", "O", "O", "O", "O", "O", "O", "O", "O", "O", "O", "O", "O", "O", "O", "O", "O", "O", "O", "O", "O", "O", "O", "O", "O", "O", "O", "O", "O", "O", "O", "O", "O", "O", "O", "O", "O", "O", "O", "O", "O", "O", "O", "O", "O", "O", "O", "O", "O", "O", "O", "O", "O", "O", "O", "O", "O", "O", "O", "O", "O", "O", "O", "O", "O", "O", "O", "O", "O", "O", "O", "O", "O", "O", "O", "O", "O", "O", "O", "O", "O", "O", "O", "O", "O", "O", "O", "O", "O", "O", "O", "O", "O"],
  "fractional_positions": [[0.000, 0.000, 0.000], [0.000, 0.500, 0.500], [0.075, 0.032, 0.581], [0.075, 0.468, 0.081], [0.169, 0.557, 0.654], [0.169, 0.943, 0.154], [0.256, 0.125, 0.755], [0.256, 0.375, 0.255], [0.324, 0.597, 0.833], [0.324, 0.903, 0.333], [0.420, 0.056, 0.924], [0.420, 0.444, 0.424], [0.500, 0.000, 0.500], [0.500, 0.500, 0.000], [0.580, 0.556, 0.576], [0.580, 0.944, 0.076], [0.676, 0.097, 0.667], [0.676, 0.403, 0.167], [0.744, 0.625, 0.745], [0.744, 0.875, 0.245], [0.831, 0.057, 0.846], [0.831, 0.443, 0.346], [0.925, 0.532, 0.919], [0.925, 0.968, 0.419], [0.005, 0.169, 0.320], [0.005, 0.331, 0.820], [0.130, 0.226, 0.463], [0.130, 0.274, 0.963], [0.282, 0.730, 0.457], [0.282, 0.770, 0.957], [0.285, 0.198, 0.104], [0.285, 0.302, 0.604], [0.442, 0.687, 0.119], [0.442, 0.813, 0.619], [0.558, 0.187, 0.381], [0.558, 0.313, 0.881], [0.715, 0.698, 0.396], [0.715, 0.802, 0.896], [0.718, 0.230, 0.043], [0.718, 0.270, 0.543], [0.870, 0.726, 0.037], [0.870, 0.774, 0.537], [0.995, 0.669, 0.180], [0.995, 0.831, 0.680], [0.160, 0.639, 0.335], [0.160, 0.861, 0.835], [0.443, 0.112, 0.256], [0.443, 0.388, 0.756], [0.557, 0.612, 0.244], [0.557, 0.888, 0.744], [0.840, 0.139, 0.165], [0.840, 0.361, 0.665], [0.004, 0.204, 0.813], [0.004, 0.296, 0.313], [0.010, 0.041, 0.324], [0.010, 0.459, 0.824], [0.012, 0.668, 0.376], [0.012, 0.832, 0.876], [0.027, 0.236, 0.034], [0.027, 0.264, 0.534], [0.078, 0.687, 0.273], [0.078, 0.813, 0.773], [0.097, 0.150, 0.941], [0.097, 0.350, 0.441], [0.112, 0.684, 0.107], [0.112, 0.816, 0.607], [0.154, 0.103, 0.486], [0.154, 0.397, 0.986], [0.180, 0.524, 0.330], [0.180, 0.976, 0.830], [0.255, 0.649, 0.932], [0.255, 0.851, 0.432], [0.258, 0.192, 0.396], [0.258, 0.308, 0.896], [0.282, 0.075, 0.085], [0.282, 0.425, 0.585], [0.300, 0.181, 0.629], [0.300, 0.319, 0.129], [0.302, 0.154, 0.298], [0.302, 0.346, 0.798], [0.307, 0.606, 0.477], [0.307, 0.894, 0.977], [0.334, 0.652, 0.205], [0.334, 0.848, 0.705], [0.351, 0.726, 0.037], [0.351, 0.774, 0.537], [0.373, 0.159, 0.193], [0.373, 0.341, 0.693], [0.375, 0.692, 0.375], [0.375, 0.808, 0.875], [0.390, 0.237, 0.030], [0.390, 0.263, 0.530], [0.436, 0.561, 0.104], [0.436, 0.939, 0.604], [0.437, 0.504, 0.753], [0.437, 0.996, 0.253], [0.460, 0.690, 0.642], [0.460, 0.810, 0.142], [0.540, 0.190, 0.858], [0.540, 0.310, 0.358], [0.563, 0.004, 0.747], [0.563, 0.496, 0.247], [0.564, 0.061, 0.396], [0.564, 0.439, 0.896], [0.610, 0.737, 0.470], [0.610, 0.763, 0.970], [0.625, 0.192, 0.125], [0.625, 0.308, 0.625], [0.627, 0.659, 0.307], [0.627, 0.841, 0.807], [0.649, 0.226, 0.463], [0.649, 0.274, 0.963], [0.666, 0.152, 0.295], [0.666, 0.348, 0.795], [0.693, 0.106, 0.023], [0.693, 0.394, 0.523], [0.698, 0.654, 0.202], [0.698, 0.846, 0.702], [0.700, 0.681, 0.871], [0.700, 0.819, 0.371], [0.718, 0.575, 0.415], [0.718, 0.925, 0.915], [0.742, 0.692, 0.104], [0.742, 0.808, 0.604], [0.745, 0.149, 0.568], [0.745, 0.351, 0.068], [0.820, 0.024, 0.170], [0.820, 0.476, 0.670], [0.846, 0.603, 0.014], [0.846, 0.897, 0.514], [0.888, 0.184, 0.393], [0.888, 0.316, 0.893], [0.903, 0.650, 0.559], [0.903, 0.850, 0.059], [0.922, 0.187, 0.227], [0.922, 0.313, 0.727], [0.973, 0.736, 0.466], [0.973, 0.764, 0.966], [0.988, 0.168, 0.124], [0.988, 0.332, 0.624], [0.990, 0.541, 0.176], [0.990, 0.959, 0.676], [0.996, 0.704, 0.687], [0.996, 0.796, 0.187]]
}

=====

7.
{
  "formula": "CoP3H12NO7",
  "functional": "PBE+U",
  "state": "optimized geometry",
  "magnetic_moment_mub_per_cell": 11.999,
  "sg": "P2_1/c, No. 14",
  "dft_energy_ev_per_atom": -5.33,
  "lattice_angstrom": [[7.474, 0.000, 0.000], [0.000, 15.178, 0.000], [-4.514, 0.000, 8.823]],
  "species": ["Co", "Co", "Co", "Co", "P", "P", "P", "P", "P", "P", "P", "P", "P", "P", "P", "P", "H", "H", "H", "H", "H", "H", "H", "H", "H", "H", "H", "H", "H", "H", "H", "H", "H", "H", "H", "H", "H", "H", "H", "H", "H", "H", "H", "H", "H", "H", "H", "H", "H", "H", "H", "H", "H", "H", "H", "H", "H", "H", "H", "H", "H", "H", "H", "H", "N", "N", "N", "N", "O", "O", "O", "O", "O", "O", "O", "O", "O", "O", "O", "O", "O", "O", "O", "O", "O", "O", "O", "O", "O", "O", "O", "O", "O", "O", "O", "O"],
  "fractional_positions": [[0.006, 0.172, 0.403], [0.006, 0.328, 0.903], [0.994, 0.672, 0.097], [0.994, 0.828, 0.597], [0.102, 0.653, 0.455], [0.102, 0.847, 0.955], [0.230, 0.171, 0.802], [0.230, 0.329, 0.302], [0.425, 0.573, 0.228], [0.425, 0.927, 0.728], [0.575, 0.073, 0.272], [0.575, 0.427, 0.772], [0.770, 0.671, 0.698], [0.770, 0.829, 0.198], [0.898, 0.153, 0.045], [0.898, 0.347, 0.545], [0.091, 0.112, 0.818], [0.091, 0.388, 0.318], [0.107, 0.136, 0.114], [0.107, 0.364, 0.614], [0.156, 0.005, 0.456], [0.156, 0.495, 0.956], [0.190, 0.570, 0.515], [0.190, 0.930, 0.015], [0.240, 0.046, 0.348], [0.240, 0.454, 0.848], [0.320, 0.689, 0.789], [0.320, 0.811, 0.289], [0.321, 0.647, 0.949], [0.321, 0.853, 0.449], [0.379, 0.532, 0.337], [0.379, 0.968, 0.837], [0.418, 0.127, 0.883], [0.418, 0.373, 0.383], [0.441, 0.593, 0.865], [0.441, 0.907, 0.365], [0.465, 0.191, 0.540], [0.465, 0.309, 0.040], [0.486, 0.154, 0.204], [0.486, 0.346, 0.704], [0.514, 0.654, 0.296], [0.514, 0.846, 0.796], [0.535, 0.691, 0.960], [0.535, 0.809, 0.460], [0.559, 0.093, 0.635], [0.559, 0.407, 0.135], [0.582, 0.627, 0.617], [0.582, 0.873, 0.117], [0.621, 0.032, 0.163], [0.621, 0.468, 0.663], [0.679, 0.147, 0.551], [0.679, 0.353, 0.051], [0.680, 0.189, 0.711], [0.680, 0.311, 0.211], [0.760, 0.546, 0.152], [0.760, 0.954, 0.652], [0.810, 0.070, 0.985], [0.810, 0.430, 0.485], [0.844, 0.505, 0.044], [0.844, 0.995, 0.544], [0.893, 0.636, 0.386], [0.893, 0.864, 0.886], [0.909, 0.612, 0.682], [0.909, 0.888, 0.182], [0.406, 0.656, 0.891], [0.406, 0.844, 0.391], [0.594, 0.156, 0.609], [0.594, 0.344, 0.109], [0.132, 0.052, 0.380], [0.132, 0.448, 0.880], [0.156, 0.715, 0.590], [0.156, 0.785, 0.090], [0.165, 0.681, 0.335], [0.165, 0.819, 0.835], [0.185, 0.175, 0.637], [0.185, 0.325, 0.137], [0.228, 0.591, 0.084], [0.228, 0.909, 0.584], [0.242, 0.244, 0.388], [0.242, 0.256, 0.888], [0.420, 0.017, 0.294], [0.420, 0.483, 0.794], [0.580, 0.517, 0.206], [0.580, 0.983, 0.706], [0.758, 0.744, 0.112], [0.758, 0.756, 0.612], [0.772, 0.091, 0.416], [0.772, 0.409, 0.916], [0.815, 0.675, 0.863], [0.815, 0.825, 0.363], [0.835, 0.181, 0.165], [0.835, 0.319, 0.665], [0.844, 0.215, 0.910], [0.844, 0.285, 0.410], [0.868, 0.552, 0.120], [0.868, 0.948, 0.620]]
}

=====

8.
{
  "formula": "Mg14VZnO16",
  "functional": "PBE+U",
  "state": "optimized geometry",
  "magnetic_moment_mub_per_cell": 3.000,
  "sg": "Pmmm, No. 47",
  "dft_energy_ev_per_atom": -6.00,
  "lattice_angstrom": [[4.281, 0.000, 0.000], [0.000, 8.549, 0.000], [0.000, 0.000, 8.555]],
  "species": ["Mg", "Mg", "Mg", "Mg", "Mg", "Mg", "Mg", "Mg", "Mg", "Mg", "Mg", "Mg", "Mg", "Mg", "V", "Zn", "O", "O", "O", "O", "O", "O", "O", "O", "O", "O", "O", "O", "O", "O", "O", "O"],
  "fractional_positions": [[0.000, 0.000, 0.000], [0.000, 0.000, 0.500], [0.000, 0.250, 0.249], [0.000, 0.250, 0.751], [0.000, 0.750, 0.249], [0.000, 0.750, 0.751], [0.500, 0.000, 0.250], [0.500, 0.000, 0.750], [0.500, 0.249, 0.500], [0.500, 0.250, 0.000], [0.500, 0.500, 0.249], [0.500, 0.500, 0.751], [0.500, 0.750, 0.000], [0.500, 0.751, 0.500], [0.000, 0.500, 0.500], [0.000, 0.500, 0.000], [0.000, 0.000, 0.250], [0.000, 0.000, 0.750], [0.000, 0.245, 0.500], [0.000, 0.246, 0.000], [0.000, 0.500, 0.248], [0.000, 0.500, 0.752], [0.000, 0.754, 0.000], [0.000, 0.755, 0.500], [0.500, 0.000, 0.000], [0.500, 0.000, 0.500], [0.500, 0.251, 0.250], [0.500, 0.251, 0.750], [0.500, 0.500, 0.000], [0.500, 0.500, 0.500], [0.500, 0.749, 0.250], [0.500, 0.749, 0.750]]
}